Computed, not measured: crystalline CoH2O2 at its relaxed geometry at the PBE with a Hubbard U level of DFT.

a = 5.5737 Å, b = 6.4000 Å, c = 6.4770 Å
α = 111.98°, β = 121.06°, γ = 91.26°
Last column: nearest neighbours and their distance in Å.
Sites, in units of the cell vectors:
O 0.4928 0.0640 0.1860  1 H 0.97
O 0.0752 0.1411 0.7666  1 H 0.97
O 0.5750 0.3927 0.7660  1 H 0.97
O 0.0752 0.6410 0.7665  1 H 0.97
O 0.5749 0.8928 0.7660  1 H 0.97
O 0.9928 0.3127 0.1863  1 H 0.97
O 0.9926 0.8125 0.1865  1 H 0.97
O 0.4924 0.5637 0.1858  1 H 0.97
Co 0.5344 0.2291 0.9764  6 O 2.09-2.16
Co 0.5342 0.7289 0.9763  6 O 2.09-2.16
Co 0.0329 0.9768 0.9763  6 O 2.09-2.16
Co 0.0327 0.4766 0.9760  6 O 2.09-2.16
H 0.1160 0.8976 0.3824  1 O 0.97
H 0.6166 0.6476 0.3818  1 O 0.97
H 0.6169 0.1477 0.3820  1 O 0.97
H 0.9547 0.0544 0.5707  1 O 0.97
H 0.9545 0.5546 0.5706  1 O 0.97
H 0.1157 0.3976 0.3823  1 O 0.97
H 0.4558 0.3065 0.5701  1 O 0.97
H 0.4559 0.8065 0.5701  1 O 0.97

As for the energy relative to the elements: -1.2385 eV per atom. Its volume is 176.68 Å³/cell. The total moment comes out at 0.0 μB per formula unit. The total energy after the MP2020 corrections is -119.9 eV per cell. As for the electronic total energy: -107.88 eV/cell. The calculation puts the density at 3.49 g/cm³.